Crystalline Na18Ca20Nb4Si3S33O144 at its relaxed geometry, computed with PBE.

```
222
Lattice="-11.9704 -2.1217 13.7927 -2.6561 -1.5971 -8.6610 6.6606 -22.9198 2.2018" Properties=species:S:1:pos:R:3 pbc="T T T"
O -9.7149 -8.2616 7.4773
O -7.4623 -11.8630 11.0211
O -1.8998 -15.9924 4.4788
O 0.6167 -7.1105 2.0370
O -7.6050 -7.4556 9.3467
O -7.6090 -20.0151 9.9716
O -2.8134 -4.0856 0.5569
O 2.7775 -16.7076 0.7987
O -8.0451 -11.4400 13.3302
O -5.4699 -6.6600 -1.0991
O -7.9235 -17.0513 11.3792
O -8.4149 -14.6798 11.1024
O 0.6114 -4.9233 -1.2860
O -2.4701 -19.9406 8.4247
O -10.2323 -8.0606 10.5739
O -7.0544 -10.3167 6.3886
O -1.2648 -2.2508 0.1347
O -10.3804 -9.2676 12.6237
O -9.2936 -8.5066 5.0915
O -5.6549 -10.6042 2.9014
O -4.2250 -7.0245 3.6838
O 0.3303 -9.5459 -3.9991
O -2.5662 -6.3283 -6.6525
O -8.5187 -7.3803 0.2584
O -6.0402 -12.8363 6.0998
O -7.3229 -3.9702 -0.0287
O -8.7609 -4.0921 5.2160
O 1.2697 -21.5249 -3.0112
O 0.5528 -11.9814 -4.0102
O -1.4865 -10.7839 4.1244
O -6.9137 -24.1888 7.4202
O 0.7401 -18.1041 5.0466
O -4.6555 -24.8953 7.0176
O -2.5900 -7.5084 -4.5388
O -0.3036 -22.3725 7.1765
O -5.7617 -14.0641 10.0529
O -1.8917 -21.8094 5.3864
O -0.2082 -19.3774 -1.9091
O -4.6493 -22.5819 3.4366
O -0.9866 -14.8004 -0.7125
O -3.5242 -14.6055 9.3101
O -2.3890 -18.4341 -1.5596
O -3.3759 -3.9476 3.7549
O -4.2343 -1.6911 3.3234
O -8.6293 -21.8333 8.7874
O -3.5580 -18.4003 1.5884
O -9.4945 -12.6349 9.4022
O 1.2490 -10.0030 0.7430
O -2.0211 -3.1121 -4.4797
O -0.0603 -11.7649 -0.7962
O -6.3428 -20.1729 4.7971
O -7.8750 -14.7982 8.2238
O -5.2037 -11.8307 0.8250
O 1.0716 -15.2073 3.5467
O -1.8672 -13.7256 1.3230
O -9.2829 -5.1163 10.8091
O 1.2378 -18.2277 1.9707
O 0.2124 -22.8217 4.8534
O -5.8260 -4.7584 1.7226
O -2.4694 -12.6393 -2.7995
O 2.7525 -22.1086 4.2448
O -4.3651 -8.2083 5.7342
O 3.5038 -20.7720 -1.3531
O 2.3732 -22.5299 -5.3134
O -8.6187 -19.4845 5.2820
O 1.8631 -18.6328 -0.3362
O -6.2883 -23.4982 11.6420
O -2.6470 -20.6517 1.7663
O -2.9838 -2.8733 -1.4885
O 5.3348 -21.1030 0.2555
O -8.4502 -13.7114 4.1011
O -12.5811 -3.5217 8.2608
O -0.4749 -6.7171 -2.4342
O -4.1390 -15.2368 4.8309
O -11.8157 -5.8305 8.5651
O -3.7244 -7.1943 0.5537
O 1.8174 -14.1743 -2.0583
O -4.1459 -19.3805 6.7201
O -1.5536 -18.8863 2.9566
O -3.2671 -10.4219 -3.4579
O -6.4376 -7.7711 4.4810
O -1.0682 -11.0479 1.4917
O -11.4538 -7.7536 5.8068
O -8.5664 -8.5844 2.3614
O -6.6637 -16.0395 3.0425
O 2.2465 -18.7866 -3.0265
O -5.3590 -8.1652 8.9285
O -3.5088 -11.5705 2.5094
O -7.9428 -3.8480 2.3327
O -13.5220 -5.2649 6.9143
O -7.1178 -17.1138 8.2002
O -10.7868 -10.0539 6.2595
O -9.3167 -2.9058 7.2823
O -4.8223 -8.9705 -0.6594
O -10.1425 -2.8390 10.5116
O -10.3676 -3.8982 12.6408
O 3.4679 -18.9564 1.4660
O -3.1800 -15.3795 0.1824
O -4.5523 -2.6954 5.4959
O -4.8529 -16.3028 10.4521
O -6.2143 -2.3709 1.3968
O -2.3772 -14.5766 6.3987
O 2.2812 -17.4971 -5.0750
O -5.3138 -5.9728 5.6075
O -8.3932 -15.6462 13.3099
O -0.7948 -22.9403 0.5312
O -1.1191 -16.0444 1.3167
O -11.1914 -12.8965 7.7183
O 0.2434 -12.9439 3.1575
O -5.1786 -22.5165 6.9184
O -3.7930 -19.5914 3.6438
O 2.4581 -13.5643 2.4130
O -1.6311 -6.4061 2.4553
O -1.4871 -24.1348 6.0347
O -0.6738 -14.9840 -3.8513
O -9.1858 -16.4686 7.0823
O -2.0615 -10.3708 6.4370
O -3.0791 -17.6217 7.9761
O -10.7922 -4.8905 3.1757
O -8.6489 -5.2592 7.3022
O -2.4061 -13.6215 4.1891
O -5.4065 -19.1177 11.8729
O -9.2451 -11.4965 3.4353
O -5.3978 -20.2573 13.9827
O -3.1649 -22.8119 11.0793
O 1.0192 -21.4019 -0.0275
O -5.2236 -23.6395 9.0452
O -3.5804 -1.7496 0.5891
O -7.0372 -3.4800 6.8340
O 1.0320 -22.5906 2.1101
O -3.3202 -7.4372 -1.8304
O 1.3935 -23.8220 0.0423
O -4.7286 -11.0790 7.6386
O 2.3804 -23.9130 -3.0602
O -3.8078 -24.8579 3.7430
O -5.4315 -13.0413 2.8884
O 4.3866 -22.9868 -0.8601
O 0.5766 -19.2700 7.1471
O -1.0823 -9.2570 -0.5073
O -4.6027 -19.1572 9.1180
O -3.5973 -23.8239 1.5937
O -4.9566 -3.6857 -3.8739
O -7.0461 -12.1170 8.3887
O -6.9941 -15.8534 6.1847
Si -6.1252 -11.5229 6.9845
Si -0.1459 -10.4566 0.0954
Si 1.5772 -22.9560 -4.0104
S 0.9598 -10.7285 -4.6215
S 0.6453 -22.7280 0.6321
S -4.4872 -14.8729 10.3967
S -3.5676 -19.0160 8.0345
S -1.7860 -15.0245 0.4954
S -8.8028 -8.6872 0.8919
S -0.1716 -6.0314 2.6527
S -3.6226 -11.8448 -3.1866
S -7.7923 -20.5530 4.6833
S -2.8716 -19.3741 2.4750
S -9.4867 -3.7829 11.4433
S -2.6102 -2.7815 -0.0809
S -10.3391 -8.6552 6.1740
S -9.5986 -12.9144 3.7090
S 3.0993 -18.4435 -4.3073
S -4.3628 -7.5795 -0.7478
S 4.7820 -21.5934 -0.9946
S -4.4631 -23.9232 2.8098
S -7.7922 -16.0912 7.3852
S -8.7309 -15.9321 11.8889
S 0.8648 -6.1835 -2.0301
S -5.4680 -23.8061 7.5717
S -0.9401 -22.7900 5.9215
S 2.3639 -18.1021 1.0241
S -5.0297 -11.7863 2.2790
S 1.4836 -13.7982 3.5002
S -3.5885 -2.6442 4.3954
S -1.7411 -19.5969 -2.1596
S -8.4516 -3.9310 6.6609
S -6.8523 -3.7753 1.3580
S -12.9677 -4.9617 8.2604
S -5.1026 -7.2498 4.8834
S -2.7198 -14.8770 4.9839
Ca -6.2779 -14.2795 4.6161
Ca -1.6634 -4.9794 -8.2684
Ca -4.2301 -21.2366 5.2937
Ca 2.3232 -8.1332 0.8191
Ca 4.2577 -14.8141 1.3722
Ca -9.7306 -2.8682 3.4809
Ca -0.3169 -16.9465 3.2122
Ca -7.6609 -6.0142 -1.3686
Ca -6.3193 -21.5633 15.5963
Ca -9.7097 -6.4056 8.9549
Ca -0.3264 -20.5730 8.7784
Ca -3.6791 -9.1990 7.7239
Ca -4.2120 -24.8732 10.7854
Ca -3.7537 -5.4722 2.0884
Ca -4.3156 -17.4034 -0.3792
Ca -0.3021 -13.1968 -2.2822
Ca -1.5004 -8.9582 -2.6649
Ca -3.6286 -1.8554 -3.4465
Ca -7.5049 -10.0067 4.2318
Ca -6.3799 -17.9945 10.1038
Na -2.9161 -12.4398 7.8983
Na 0.5436 -20.2063 3.4598
Na -1.3681 -7.0056 -0.0928
Na -10.7941 -9.0302 3.1823
Na -7.4874 -24.3781 9.7370
Na -2.4573 -5.1703 -3.3009
Na -8.7332 -10.0258 9.2171
Na -2.7280 -9.0361 2.3329
Na 0.6588 -16.4699 -1.9701
Na -7.4133 -7.9818 6.8090
Na -5.7852 -20.2649 2.3963
Na -5.1914 -21.4306 10.4231
Na -6.1543 -1.1140 6.9698
Na -5.2372 -17.6951 5.0287
Na -4.7705 -8.1080 -3.6903
Na 3.0790 -11.3745 1.0023
Na -14.5798 -3.7473 5.1166
Na -8.6628 -6.1532 3.7520
Nb 1.6112 -20.1986 -1.7262
Nb -1.6186 -12.2828 2.7225
Nb -7.5997 -13.3464 9.6159
Nb 1.7440 -23.6884 3.9015
```

Computed properties:
Calculated formation energy = -2.47 eV/atom
Symmetry = P1 (1)
DFT total energy = -6.387 eV/atom
M_tot = 0.00 μB per formula unit
Crystal system = triclinic

---

Crystalline Na18Ca8Nb16Si21S15O144 at its relaxed geometry, computed with PBE.

```
222
Lattice="18.1619 -0.0762 -0.1514 -4.5734 7.9073 0.0164 -0.1938 -0.0625 23.0515" Properties=species:S:1:pos:R:3 pbc="T T T"
O 0.8066 3.7954 10.8269
O 1.3460 5.0891 22.3968
O 3.3647 6.3353 21.2360
O 8.3447 1.6125 4.4707
O 14.9549 2.7888 21.1651
O 3.8353 0.9294 21.2214
O 1.5311 5.2509 12.9921
O 12.4553 1.0347 12.1190
O 16.6451 0.1505 1.9994
O 11.8678 2.5527 17.1679
O 12.9167 3.9779 12.1469
O 0.8226 6.6683 1.5307
O 8.0830 6.6760 13.1214
O 5.3552 3.9675 17.1101
O 3.3034 1.0696 12.2122
O 9.8962 3.7536 10.7606
O 12.1548 4.1671 14.7921
O 10.0748 6.4000 17.1126
O 0.6388 1.7799 9.5924
O 2.6152 7.5390 16.0193
O 8.0253 1.4934 6.8930
O 0.5110 6.8046 8.2562
O -1.6574 5.1166 10.8561
O 7.4274 5.5827 17.4626
O 3.8108 4.0204 12.2132
O 8.0367 6.3849 5.8157
O 5.4705 1.3690 0.7090
O 3.7343 1.1596 5.7354
O 11.7523 7.6018 15.8919
O 15.1979 2.3160 12.0145
O 9.9625 1.3188 1.9122
O -2.9622 7.7573 4.4438
O -1.5813 5.2842 1.6765
O 3.0421 4.2296 14.8450
O 0.8859 1.3646 2.0112
O 5.1416 6.4287 2.0393
O 0.7774 1.4455 18.6403
O 2.7627 2.9799 9.6563
O 12.7687 4.2336 5.4373
O 2.4683 2.8467 3.1231
O 1.5347 5.5823 5.7204
O -0.8469 3.8417 13.1305
O 15.4521 2.9088 14.6431
O 9.7248 1.7322 9.5359
O 6.2548 7.5942 21.1219
O 9.4518 3.7283 17.3019
O 8.5295 3.6378 5.7969
O -2.8326 7.5970 21.1682
O 3.8562 6.4189 13.5307
O 7.8819 3.7508 19.6738
O 0.3356 3.7588 17.4305
O 5.8081 4.1181 3.2059
O 5.4166 6.4682 9.7543
O -0.5836 3.6876 5.8427
O 5.3542 0.9437 16.9784
O 11.7176 2.3433 0.6285
O 12.5092 6.2672 21.1007
O 10.8158 0.0291 7.0419
O 14.4729 0.9304 16.9549
O 14.5558 1.3101 0.6306
O 6.1063 7.7587 4.3787
O 0.7967 3.7395 1.6991
O 14.2793 6.1400 18.3530
O 3.5459 6.2191 6.9008
O 10.4499 5.0991 22.3037
O 17.1224 1.1568 13.4638
O 6.5022 2.8594 14.8153
O 6.0882 2.3656 12.1860
O -1.7766 5.5916 17.4019
O 8.2329 6.8033 19.8849
O -1.0618 6.3907 5.8819
O 8.1090 1.1468 13.5155
O 5.3518 6.4882 15.9120
O 17.0743 1.4616 6.7984
O 4.8605 6.1038 18.4711
O 5.1816 4.1740 0.5708
O -0.7806 1.6522 4.5271
O 7.0072 0.0332 18.4265
O 12.8125 1.1223 5.6209
O 8.2203 1.4693 21.2437
O 1.4585 4.9650 19.7806
O 13.8774 1.0674 9.7020
O 9.5891 6.7343 8.1643
O 3.3981 6.4633 4.4651
O 9.8269 1.4497 18.5706
O 14.8660 4.1969 3.2721
O -3.6294 6.4352 16.0804
O 9.9214 6.6178 1.4574
O 12.6689 6.1931 6.7947
O 12.7131 0.6574 14.5298
O 14.3698 0.5825 3.2651
O 15.4135 2.5445 5.4905
O 8.0971 6.7185 22.3306
O 0.9334 3.8958 8.3795
O 8.0026 3.8976 22.2998
O 7.4958 5.2882 1.5437
O -3.6514 6.4945 9.7805
O 9.8646 3.6917 1.5809
O 10.5588 4.9643 19.6766
O 12.9281 0.9165 21.1636
O 7.2516 5.0257 8.2075
O 11.5252 2.8250 3.0283
O 9.6913 6.5900 10.7868
O 14.2582 4.0679 0.6129
O -0.8748 1.5064 21.3205
O 9.6654 1.4161 15.8907
O 14.3509 4.1745 17.0292
O 12.3407 3.5903 21.3040
O 2.7286 2.6294 17.1969
O -0.8547 6.8126 19.9344
O 6.3572 2.5394 5.5729
O 5.4309 3.7683 9.7200
O 0.8998 6.4225 17.2997
O -1.8049 5.0533 8.2418
O -1.1022 3.9024 22.4347
O 10.6278 5.2030 12.9443
O 10.6446 0.0726 13.3684
O 12.5001 6.4315 4.3661
O 7.5465 0.1959 2.1074
O 14.2242 6.3926 1.9447
O 5.2359 0.6207 3.3396
O 11.7295 7.7628 9.5417
O 3.6134 0.6808 14.6183
O 0.5710 1.4116 15.9677
O 3.2529 3.6169 21.3533
O 2.6624 7.8255 9.6250
O 2.6274 2.3833 0.7104
O 4.8035 1.1252 9.8108
O -1.0389 6.7027 13.1959
O 11.8478 2.9345 9.5934
O 10.0248 3.8425 8.3099
O 8.2300 3.8046 13.0716
O 16.1687 -0.0803 18.3171
O 3.5702 4.2336 5.5394
O 7.4174 5.0885 10.8149
O 0.6050 6.6496 10.8641
O 1.5271 0.0778 13.4980
O -1.1907 3.8240 19.8114
O -2.8964 7.8591 7.0809
O 10.6587 5.4879 5.6217
O 5.8904 2.8118 21.2210
O -0.9965 6.7244 22.3857
O 12.9390 6.3710 13.5211
O 14.5064 3.7227 9.6030
Na 8.8547 5.1478 15.2275
Na 4.1301 7.7999 22.7622
Na 13.2114 7.7255 22.6712
Na 7.2121 2.6870 16.9399
Na 11.8983 4.8379 16.9381
Na 15.1215 4.9592 5.3705
Na 13.2615 2.3587 18.9422
Na 4.2684 7.7108 11.3555
Na -0.2326 5.0738 15.3186
Na 4.2900 2.5255 7.5610
Na 13.2074 2.3096 7.5612
Na 4.2015 2.6046 18.9231
Na 8.7966 5.1702 3.6559
Na 5.7652 0.0862 5.4196
Na 13.3753 7.6168 11.2047
Na 14.8083 0.0008 5.3756
Na -0.0533 5.2857 3.6763
Na 2.9930 4.9369 17.0946
Ca 13.4902 2.5466 15.5414
Ca 4.4651 7.8246 8.2560
Ca 4.3347 7.7770 19.7427
Ca 13.5487 2.4967 3.9623
Ca 13.5162 7.8069 8.1789
Ca 4.5188 2.6032 4.0933
Ca 4.3810 2.6299 15.5753
Ca 17.9843 -0.1125 19.6751
S -1.3794 7.4950 21.1536
S 12.1608 5.5588 5.5876
S 10.3589 3.0425 9.5447
S 1.2814 3.0820 9.6201
S 1.6874 7.7251 17.2163
S 3.0683 5.6013 5.6965
S 10.8310 2.5551 1.7745
S 7.8046 2.2960 5.6947
S 10.8208 7.7167 17.1247
S 12.1392 0.1838 13.2795
S -1.2951 2.3430 5.7513
S 3.0254 0.2114 13.3749
S 7.7030 7.4735 21.1002
S 1.7682 2.6003 1.8699
S -3.2981 5.6242 17.3061
Si 14.9736 0.2299 1.8419
Si 16.2362 2.5865 13.3302
Si 11.6831 -0.0147 5.7430
Si 12.1872 4.8864 13.3828
Si 6.3133 5.1905 9.6386
Si 7.5750 2.8844 21.0988
Si 5.7376 5.5236 17.2963
Si 15.0174 4.8932 1.8604
Si -2.7544 5.2121 9.6720
Si 5.8813 0.2879 1.9294
Si 10.3161 2.1738 17.2739
Si 11.5254 5.0360 21.0587
Si 2.4514 5.0627 21.1778
Si 10.1665 7.5623 9.5699
Si 1.1999 2.2126 17.3481
Si 3.0984 4.9545 13.4398
Si 7.2419 2.5395 13.4589
Si -1.5278 2.9244 21.2071
Si 5.9363 4.9341 1.8745
Si 2.6148 0.0248 5.8146
Si 1.1035 7.6391 9.6703
Nb 4.5189 2.6445 22.5111
Nb -0.1541 0.0636 14.8228
Nb 13.6777 2.6238 10.9459
Nb 8.7907 5.3083 7.1955
Nb -0.1029 5.2796 11.9857
Nb 0.0091 5.2701 0.4383
Nb 8.8819 4.9915 18.6429
Nb 4.6179 2.6699 11.0674
Nb 4.4769 7.8098 14.8286
Nb 8.9840 5.2192 11.9199
Nb -0.1502 4.9976 18.7638
Nb 13.5757 2.5982 22.4600
Nb -4.5082 7.8377 3.2638
Nb -0.2025 5.3680 7.2867
Nb 9.1027 5.2366 0.3461
Nb 4.5690 7.7872 3.2183
```

Computed properties:
Calculated formation energy = -2.69 eV/atom
Symmetry = P1 (1)
DFT total energy = -7.152 eV/atom
M_tot = 0.00 μB per formula unit
Crystal system = triclinic

---

Among the records above, which one has the highest calculated formation energy? Na18Ca20Nb4Si3S33O144

---

Which formula does entry 1 have? Na18Ca20Nb4Si3S33O144